Entry 1:
First-principles (PBE) data for a geometry-optimized AcPr3 structure, as listed in the Materials Project.

Computed properties:
Space group: I4/mmm (139)
Volume: 38.14 Å³ per atom
Uncorrected energy: -18.34 eV/cell

```
AcPr3
1.0
4.8926 -4.3137 0.6074
2.0535 -0.1377 6.2193
-5.9706 -0.4994 -2.6490
Pr Ac
3 1
direct
0.2500 0.7500 0.5000
0.7500 0.2500 0.5000
0.5000 0.5000 0.0000
0.0000 0.0000 0.0000
```

Entry 2:
First-principles (PBE) data for a geometry-optimized TbFe6Co5W structure, as listed in the Materials Project.

Computed properties:
Space group: Imm2 (44)
Volume: 12.33 Å³ per atom
Total magnetization: 17.26 μB per cell
Uncorrected energy: -104.13 eV/cell

```
TbFe6Co5W
1.0
0.0000 0.0000 4.6261
-4.2039 4.1222 2.3131
-4.2039 -4.1222 -2.3131
Fe Tb Co W
6 1 5 1
direct
0.9996 0.5019 0.0038
0.5000 0.7736 0.7736
0.0004 0.0038 0.5019
0.5000 0.2306 0.2306
0.4976 0.0038 0.5019
0.5024 0.5019 0.0038
0.0000 0.0060 0.0060
0.6448 0.3530 0.6426
0.0000 0.3533 0.3533
0.7129 0.7861 0.2119
0.3552 0.6426 0.3530
0.2871 0.2119 0.7861
0.0000 0.6315 0.6315
```

Entry 3:
First-principles (PBE) data for a geometry-optimized Ca2LaBeO5 structure, as listed in the Materials Project.

Computed properties:
Space group: Pnma (62)
Volume: 12.49 Å³ per atom
Total magnetization: 3.99 μB per cell
Uncorrected energy: -250.56 eV/cell

```
Ca2LaBeO5
1.0
6.5208 0.0000 0.0000
0.0000 7.2900 0.0000
0.0000 0.0000 9.4592
O La Be Ca
20 4 4 8
direct
0.6886 0.9383 0.5731
0.3114 0.0617 0.4269
0.3324 0.7500 0.7302
0.6395 0.7500 0.2772
0.8114 0.9383 0.0731
0.0228 0.7500 0.5131
0.9772 0.2500 0.4869
0.5228 0.2500 0.9869
0.4772 0.7500 0.0131
0.8114 0.5617 0.0731
0.1395 0.2500 0.2228
0.3605 0.2500 0.7228
0.1886 0.4383 0.9269
0.8324 0.2500 0.7698
0.6676 0.2500 0.2698
0.8605 0.7500 0.7772
0.6886 0.5617 0.5731
0.1676 0.7500 0.2302
0.1886 0.0617 0.9269
0.3114 0.4383 0.4269
0.1001 0.7500 0.9727
0.8999 0.2500 0.0273
0.6001 0.2500 0.5273
0.3999 0.7500 0.4727
0.8116 0.7500 0.6068
0.3116 0.2500 0.8932
0.6884 0.7500 0.1068
0.1884 0.2500 0.3932
0.9210 0.5289 0.3268
0.0790 0.4711 0.6732
0.0790 0.0289 0.6732
0.5790 0.9711 0.8268
0.5790 0.5289 0.8268
0.4210 0.0289 0.1732
0.9210 0.9711 0.3268
0.4210 0.4711 0.1732
```

Entry 4:
First-principles (PBE) data for a geometry-optimized NdCd structure, as listed in the Materials Project.

Computed properties:
Space group: Pm-3m (221)
Volume: 28.86 Å³ per atom
Uncorrected energy: -6.33 eV/cell

```
NdCd
1.0
-0.5731 3.2872 1.9500
0.5419 -1.8820 3.3318
3.7834 0.7675 -0.1818
Nd Cd
1 1
direct
0.0000 0.0000 0.0000
0.5000 0.5000 0.5000
```

Entry 5:
First-principles (PBE) data for a geometry-optimized NaTaAl3P3S3O24 structure, as listed in the Materials Project.

Computed properties:
Space group: P1 (1)
Volume: 12.87 Å³ per atom
Total magnetization: 0.00 μB per cell
Uncorrected energy: -744.71 eV/cell

```
NaTaAl3P3S3O24
1.0
-8.3093 -1.4029 -0.5514
4.5357 -3.7843 6.0056
-3.7865 17.0190 13.3651
O S Al P Ta Na
72 9 9 9 3 3
direct
0.5272 0.8332 0.7614
0.0240 0.1850 0.9076
0.9650 0.8033 0.8081
0.3020 0.4621 0.4710
0.6384 0.5006 0.9235
0.1299 0.4959 0.8600
0.5015 0.6373 0.5749
0.8279 0.0362 0.8058
0.1312 0.4987 0.5746
0.4688 0.1589 0.2455
0.4940 0.3649 0.1381
0.8526 0.3587 0.9253
0.9763 0.8071 0.0911
0.8764 0.5108 0.1373
0.1569 0.6992 0.4696
0.8379 0.5420 0.0281
0.4733 0.3063 0.7445
0.2035 0.0319 0.3055
0.9695 0.1726 0.3054
0.8055 0.8312 0.9092
0.8635 0.3667 0.6407
0.6443 0.1423 0.4221
0.1624 0.1848 0.4042
0.8394 0.3075 0.2447
0.1707 0.6942 0.7609
0.4688 0.1686 0.5259
0.4924 0.8529 0.0703
0.4663 0.2962 0.0254
0.6967 0.5289 0.2436
0.5414 0.8455 0.4697
0.1655 0.4727 0.2601
0.5040 0.8747 0.3608
0.0261 0.8301 0.4071
0.8040 0.9744 0.4068
0.5056 0.3553 0.4231
0.3649 0.8648 0.5737
0.3687 0.4989 0.3591
0.5276 0.7002 0.2601
0.7025 0.5334 0.5253
0.8386 0.8068 0.3080
0.8263 0.5189 0.7440
0.9681 0.1660 0.5926
0.8354 0.0213 0.0909
0.2064 0.1735 0.8057
0.3556 0.5000 0.0727
0.7054 0.1677 0.0264
0.7895 0.9687 0.6967
0.1784 0.2123 0.6969
0.3139 0.4751 0.7606
0.5043 0.1376 0.6417
0.3009 0.8298 0.2605
0.1381 0.6428 0.0737
0.3675 0.8729 0.8616
0.8620 0.5003 0.4213
0.0361 0.2086 0.1960
0.4968 0.1389 0.9232
0.1743 0.9672 0.1957
0.8071 0.8364 0.1941
0.6305 0.4975 0.6409
0.1676 0.9721 0.9090
0.2011 0.0335 0.5921
0.1307 0.6357 0.3600
0.5076 0.6365 0.8609
0.1861 0.1567 0.0928
0.8291 0.2991 0.5247
0.3015 0.8408 0.9713
0.6879 0.1628 0.7447
0.1648 0.4659 0.9735
0.0281 0.8285 0.6958
0.8316 0.8028 0.5914
0.5414 0.7015 0.9709
0.6357 0.1304 0.1384
0.3323 0.9525 0.9168
0.2941 0.2939 0.7532
0.0074 0.2876 0.2518
0.6250 0.9589 0.4142
0.7049 0.9977 0.7531
0.0431 0.6668 0.4134
0.6198 0.6659 0.9160
0.9607 0.6272 0.0804
0.2769 0.9884 0.2517
0.9907 0.0008 0.1448
0.6600 0.3327 0.4807
0.3172 0.6601 0.8143
0.9974 0.0000 0.8543
0.6731 0.3404 0.6869
0.3338 0.6569 0.0207
0.6674 0.3230 0.9800
0.3446 0.6610 0.3119
0.9991 0.9976 0.3557
0.6666 0.6056 0.5835
0.3968 0.0612 0.5838
0.9350 0.3286 0.5831
0.6642 0.0359 0.0789
0.3333 0.3703 0.4127
0.9989 0.7071 0.7545
0.0448 0.3785 0.9170
0.7186 0.7277 0.2515
0.3689 0.3289 0.0782
0.3294 0.6575 0.5247
0.0029 0.9957 0.6431
0.6595 0.3332 0.1855
0.0009 0.0105 0.9993
0.6644 0.3391 0.3370
0.6768 0.3392 0.8344
```

Entry 6:
First-principles (PBE) data for a geometry-optimized Ho4Ni structure, as listed in the Materials Project.

Computed properties:
Space group: Fd-3m (227)
Volume: 29.34 Å³ per atom
Total magnetization: 0.01 μB per cell
Uncorrected energy: -45.78 eV/cell

```
Ho4Ni
1.0
-3.7334 -6.0483 -2.2608
-2.0285 -5.1972 4.9503
-7.1906 -0.8326 1.7983
Ho Ni
8 2
direct
0.3876 0.8373 0.3876
0.8624 0.8624 0.4127
0.8373 0.3876 0.3876
0.3876 0.3876 0.3876
0.8624 0.8624 0.8624
0.3876 0.3876 0.8373
0.4127 0.8624 0.8624
0.8624 0.4127 0.8624
0.2500 0.2500 0.2500
0.0000 0.0000 0.0000
```

- Which of these has the lowest uncorrected energy?
  NaTaAl3P3S3O24

- Which of these has the lowest volume?
  TbFe6Co5W